1.
{
  "formula": "Li7Mn4CoO12",
  "functional": "PBE with a Hubbard U",
  "state": "relaxed",
  "magnetic_moment_mub_per_cell": 14.0,
  "formation_enthalpy_0k_mev_per_atom": -2020,
  "e_tot_ev_per_fu": -148.4,
  "relative_energy_ev_per_atom": 0.064,
  "lattice": [[-1.422, 0.493, -2.479], [0.408, -8.252, -1.876], [-7.508, -5.410, 3.231]],
  "species": ["O", "O", "O", "Mn", "O", "Li", "Li", "O", "O", "O", "O", "O", "O", "Co", "Li", "Li", "Mn", "Li", "Mn", "O", "O", "Mn", "Li", "Li"],
  "frac_coords": [[0.500, 0.073, 0.852], [0.500, 0.407, 0.184], [0.000, 0.771, 0.998], [0.000, 0.350, 0.329], [0.000, 0.400, 0.688], [0.500, 0.826, 0.843], [0.500, 0.667, 0.167], [0.000, 0.237, 0.989], [0.500, 0.260, 0.482], [0.500, 0.926, 0.149], [0.000, 0.562, 0.335], [0.500, 0.580, 0.829], [0.000, 0.934, 0.645], [0.000, 0.667, 0.667], [0.000, 0.803, 0.333], [0.000, 0.167, 0.667], [0.500, 0.000, 0.497], [0.000, 0.530, 0.000], [0.500, 0.334, 0.836], [0.000, 0.096, 0.345], [0.500, 0.754, 0.504], [0.000, 0.984, 0.004], [0.500, 0.167, 0.167], [0.500, 0.508, 0.490]]
}

2.
{
  "formula": "Li5Mn2CoO8",
  "functional": "PBE with a Hubbard U",
  "state": "relaxed",
  "magnetic_moment_mub_per_cell": 12.0,
  "formation_enthalpy_0k_mev_per_atom": -2011,
  "e_tot_ev_per_fu": -96.3,
  "relative_energy_ev_per_atom": 0.023,
  "lattice": [[-2.641, -0.921, -0.646], [-0.401, -1.725, 10.493], [-3.788, 8.004, 4.071]],
  "species": ["O", "Li", "O", "Li", "Co", "O", "Mn", "O", "O", "O", "O", "Li", "O", "O", "O", "Li", "Li", "Li", "Mn", "O", "Mn", "O", "O", "O", "Li", "Li", "Li", "O", "O", "Mn", "Li", "Co"],
  "frac_coords": [[0.087, 0.174, 0.035], [0.625, 0.250, 0.875], [0.224, 0.448, 0.381], [0.809, 0.618, 0.936], [0.875, 0.750, 0.625], [0.907, 0.814, 0.988], [0.506, 0.011, 0.506], [0.663, 0.326, 0.215], [0.342, 0.684, 0.762], [0.778, 0.557, 0.602], [0.724, 0.447, 0.881], [0.070, 0.140, 0.685], [0.026, 0.053, 0.369], [0.526, 0.052, 0.869], [0.471, 0.944, 0.148], [0.441, 0.882, 0.814], [0.941, 0.882, 0.314], [0.125, 0.250, 0.375], [0.005, 0.011, 0.006], [0.279, 0.556, 0.102], [0.244, 0.489, 0.744], [0.163, 0.327, 0.715], [0.972, 0.943, 0.648], [0.843, 0.686, 0.262], [0.680, 0.360, 0.565], [0.309, 0.618, 0.436], [0.180, 0.360, 0.065], [0.587, 0.173, 0.535], [0.408, 0.816, 0.488], [0.745, 0.489, 0.244], [0.570, 0.140, 0.185], [0.375, 0.750, 0.125]]
}

3.
{
  "formula": "Li3MnCoO5",
  "functional": "PBE with a Hubbard U",
  "state": "relaxed",
  "magnetic_moment_mub_per_cell": 15.3,
  "formation_enthalpy_0k_mev_per_atom": -1749,
  "e_tot_ev_per_fu": -57.5,
  "relative_energy_ev_per_atom": 0.211,
  "lattice": [[-1.770, 0.794, 2.235], [0.546, -2.864, -0.510], [19.259, 2.647, 14.314]],
  "species": ["Li", "Co", "O", "O", "O", "Co", "O", "O", "O", "O", "Li", "Li", "O", "Li", "Mn", "Mn", "O", "O", "Li", "Li"],
  "frac_coords": [[0.299, 0.597, 0.896], [0.600, 0.200, 0.800], [0.651, 0.303, 0.954], [0.452, 0.904, 0.355], [0.348, 0.696, 0.044], [0.800, 0.600, 0.399], [0.252, 0.503, 0.755], [0.750, 0.499, 0.249], [0.851, 0.703, 0.554], [0.149, 0.298, 0.447], [0.400, 0.800, 0.200], [0.499, 0.997, 0.496], [0.549, 0.097, 0.646], [0.703, 0.405, 0.108], [0.000, 0.000, 0.001], [0.200, 0.400, 0.600], [0.949, 0.897, 0.846], [0.050, 0.100, 0.150], [0.901, 0.803, 0.704], [0.099, 0.197, 0.296]]
}

4.
{
  "formula": "Li4MnCo2O7",
  "functional": "PBE with a Hubbard U",
  "state": "relaxed",
  "magnetic_moment_mub_per_cell": 10.0,
  "formation_enthalpy_0k_mev_per_atom": -1836,
  "e_tot_ev_per_fu": -81.6,
  "relative_energy_ev_per_atom": 0.048,
  "lattice": [[2.956, 0.000, 0.000], [-1.158, 9.658, 0.000], [-0.490, -4.331, 8.726]],
  "species": ["Li", "Li", "O", "O", "O", "Mn", "O", "Li", "O", "Mn", "Li", "O", "O", "Co", "Li", "O", "O", "Li", "Li", "Co", "O", "O", "Co", "O", "Li", "O", "O", "Co"],
  "frac_coords": [[0.265, 0.564, 0.146], [0.776, 0.568, 0.646], [0.369, 0.780, 0.337], [0.580, 0.234, 0.688], [0.934, 0.798, 0.808], [0.850, 0.709, 0.422], [0.749, 0.514, 0.265], [0.927, 0.849, 0.209], [0.054, 0.088, 0.403], [0.003, 0.998, 0.996], [0.219, 0.429, 0.349], [0.954, 0.914, 0.612], [0.345, 0.660, 0.531], [0.154, 0.288, 0.575], [0.654, 0.301, 0.078], [0.261, 0.487, 0.745], [0.806, 0.623, 0.012], [0.335, 0.707, 0.927], [0.505, 0.003, 0.503], [0.705, 0.433, 0.868], [0.094, 0.201, 0.177], [0.733, 0.347, 0.465], [0.569, 0.146, 0.290], [0.430, 0.934, 0.111], [0.073, 0.144, 0.788], [0.140, 0.362, 0.955], [0.570, 0.058, 0.886], [0.444, 0.858, 0.711]]
}